1.
Computed, not measured: an optimized crystal structure of SrIn2S4 at the PBE-GGA level of DFT.

Results
DFT formation energy = -1333 meV/atom
Crystal system = orthorhombic

POSCAR file:
```
SrIn2S4
1.0
0.0000 10.6445 10.7201
6.5966 0.0000 10.7201
6.5966 10.6445 0.0000
Sr In S
8 16 32
direct
0.1216 0.6284 0.1216
0.1250 0.1250 0.1250
0.3716 0.8784 0.3716
0.3750 0.3750 0.3750
0.6250 0.6250 0.6250
0.6284 0.1216 0.6284
0.8750 0.8750 0.8750
0.8784 0.3716 0.8784
0.0379 0.8547 0.4634
0.1117 0.3628 0.3858
0.1441 0.4634 0.8547
0.1453 0.9621 0.8559
0.3604 0.6142 0.6372
0.3628 0.1117 0.6396
0.3858 0.6396 0.1117
0.4634 0.1441 0.0379
0.5366 0.8559 0.9621
0.6142 0.3604 0.8883
0.6372 0.8883 0.3604
0.6396 0.3858 0.3628
0.8547 0.0379 0.1441
0.8559 0.5366 0.1453
0.8883 0.6372 0.6142
0.9621 0.1453 0.5366
0.0881 0.9099 0.0885
0.0891 0.4096 0.5864
0.0885 0.4135 0.0881
0.0901 0.9119 0.5865
0.1480 0.6636 0.8474
0.1526 0.1589 0.8520
0.1589 0.1526 0.3364
0.1821 0.6459 0.3158
0.3158 0.3563 0.1821
0.3364 0.8520 0.1589
0.3541 0.8179 0.6437
0.3563 0.3158 0.6459
0.4096 0.0891 0.4149
0.4135 0.0885 0.9099
0.4136 0.5851 0.9109
0.4149 0.5864 0.4096
0.5851 0.4136 0.5904
0.5864 0.4149 0.0891
0.5865 0.9115 0.0901
0.5904 0.9109 0.5851
0.6437 0.6842 0.3541
0.6459 0.1821 0.3563
0.6636 0.1480 0.8411
0.6842 0.6437 0.8179
0.8179 0.3541 0.6842
0.8411 0.8474 0.6636
0.8474 0.8411 0.1480
0.8520 0.3364 0.1526
0.9099 0.0881 0.4135
0.9115 0.5865 0.9119
0.9109 0.5904 0.4136
0.9119 0.0901 0.9115
```

---

2.
Computed, not measured: an optimized crystal structure of K3Er at the PBE-GGA level of DFT.

Results
M_tot = 0.58 μB per formula unit
DFT formation energy = 584 meV/atom
Distance to the lowest polymorph of the same formula = 0 meV/atom
Crystal system = hexagonal

POSCAR file:
```
K3Er
1.0
8.5962 0.0000 0.0000
-4.2981 7.4445 0.0000
0.0000 0.0000 7.0617
K Er
6 2
direct
0.1723 0.3446 0.2500
0.1723 0.8277 0.2500
0.3446 0.1723 0.7500
0.6554 0.8277 0.2500
0.8277 0.1723 0.7500
0.8277 0.6554 0.7500
0.3333 0.6667 0.7500
0.6667 0.3333 0.2500
```

---

3.
Computed, not measured: an optimized crystal structure of Zr3Te at the PBE-GGA level of DFT.

Results
M_tot = 0.00 μB per formula unit
DFT formation energy = 77 meV/atom
Crystal system = trigonal

POSCAR file:
```
Zr3Te
1.0
2.8461 1.6432 10.8067
-2.8461 1.6432 10.8067
0.0000 -3.2864 10.8067
Zr Te
9 3
direct
0.0000 0.0000 0.0000
0.0851 0.0851 0.5882
0.0851 0.5882 0.0851
0.1672 0.1672 0.1672
0.4118 0.9149 0.9149
0.5882 0.0851 0.0851
0.8328 0.8328 0.8328
0.9149 0.4118 0.9149
0.9149 0.9149 0.4118
0.3734 0.3734 0.3734
0.5000 0.5000 0.5000
0.6266 0.6266 0.6266
```

---

4.
Computed, not measured: an optimized crystal structure of Pr3Er at the PBE-GGA level of DFT.

Results
DFT formation energy = 8 meV/atom
Distance to the lowest polymorph of the same formula = 0 meV/atom
Crystal system = cubic

POSCAR file:
```
Pr3Er
1.0
5.1792 0.0000 0.0000
0.0000 5.1792 0.0000
0.0000 0.0000 5.1792
Pr Er
3 1
direct
0.0000 0.0000 0.5000
0.0000 0.5000 0.0000
0.5000 0.0000 0.0000
0.5000 0.5000 0.5000
```